Material: Na5Fe3Ag2As8O28
Method: DFT, GGA+U
State: optimized geometry

Cell lengths 6.697, 6.697, 29.263 Å; angles 86.91, 86.91, 81.26 degrees
Fractional coordinates of all 92 atoms:
O 0.841 0.497 0.794
O 0.146 0.601 0.296
O 0.086 0.802 0.502
O 0.395 0.284 0.994
O 0.497 0.841 0.294
O 0.037 0.316 0.046
O 0.807 0.065 0.316
O 0.398 0.727 0.437
O 0.598 0.024 0.927
O 0.914 0.198 0.498
O 0.816 0.442 0.261
O 0.159 0.503 0.206
O 0.963 0.684 0.954
O 0.626 0.325 0.074
O 0.316 0.037 0.546
O 0.605 0.716 0.006
O 0.935 0.193 0.184
O 0.160 0.118 0.269
O 0.419 0.104 0.365
O 0.399 0.854 0.204
O 0.976 0.402 0.573
O 0.184 0.558 0.739
O 0.738 0.719 0.870
O 0.896 0.581 0.135
O 0.118 0.160 0.769
O 0.719 0.738 0.370
O 0.024 0.598 0.427
O 0.684 0.963 0.454
O 0.963 0.901 0.591
O 0.262 0.281 0.130
O 0.901 0.963 0.091
O 0.558 0.184 0.239
O 0.374 0.675 0.926
O 0.193 0.935 0.684
O 0.273 0.602 0.063
O 0.442 0.816 0.761
O 0.840 0.882 0.731
O 0.284 0.395 0.494
O 0.581 0.896 0.635
O 0.037 0.099 0.409
O 0.602 0.273 0.563
O 0.402 0.976 0.073
O 0.854 0.399 0.704
O 0.675 0.374 0.426
O 0.802 0.086 0.002
O 0.716 0.605 0.506
O 0.065 0.807 0.816
O 0.104 0.419 0.865
O 0.281 0.262 0.630
O 0.325 0.626 0.574
O 0.601 0.146 0.796
O 0.099 0.037 0.909
O 0.503 0.159 0.706
O 0.727 0.398 0.937
O 0.198 0.914 0.998
O 0.882 0.840 0.231
Na 0.675 0.898 0.152
Na 0.529 0.471 0.750
Na 0.898 0.675 0.652
Na 0.102 0.325 0.348
Na 0.098 0.338 0.948
Na 0.662 0.902 0.552
Na 0.902 0.662 0.052
Na 0.338 0.098 0.448
Na 0.471 0.529 0.250
Na 0.325 0.102 0.848
Fe 0.705 0.662 0.437
Fe 0.295 0.338 0.563
Fe 0.868 0.132 0.250
Fe 0.338 0.295 0.063
Fe 0.132 0.868 0.750
Fe 0.662 0.705 0.937
As 0.176 0.845 0.557
As 0.617 0.208 0.964
As 0.824 0.155 0.443
As 0.049 0.391 0.160
As 0.845 0.176 0.057
As 0.155 0.824 0.943
As 0.394 0.012 0.248
As 0.391 0.049 0.660
As 0.609 0.951 0.340
As 0.606 0.988 0.752
As 0.012 0.394 0.748
As 0.988 0.606 0.252
As 0.951 0.609 0.840
As 0.792 0.383 0.536
As 0.208 0.617 0.464
As 0.383 0.792 0.036
Ag 0.161 0.885 0.145
Ag 0.885 0.161 0.645
Ag 0.839 0.115 0.855
Ag 0.115 0.839 0.355

Summary:
- Magnetization: 0.326 μB per atom
- Crystal system: monoclinic
- Calculated total energy: -5.806 eV per atom

***

Material: BaYMgMnCuO5
Method: DFT, GGA+U
State: optimized geometry

Cell lengths 4.100, 3.894, 10.043 Å; angles 90.01, 75.24, 90.00 degrees
Fractional coordinates of all 10 atoms:
O 0.034 0.500 0.354
O 0.964 0.500 0.651
O 0.315 0.500 0.890
O 0.504 0.000 0.572
O 0.553 0.000 0.259
Y 0.070 0.000 0.470
Ba 0.168 0.000 0.102
Cu 0.586 0.500 0.281
Mg 0.839 0.500 0.852
Mn 0.466 0.500 0.648

Summary:
- Magnetization: 0.464 μB per atom
- Crystal system: monoclinic
- Calculated total energy: -6.636 eV per atom

***

Material: MgMnAgO2
Method: DFT, GGA+U
State: optimized geometry

Cell lengths 3.128, 3.225, 8.259 Å; angles 98.90, 90.00, 119.00 degrees
Fractional coordinates of all 5 atoms:
Ag 0.986 0.971 0.940
O 0.885 0.769 0.654
O 0.101 0.202 0.341
Mn 0.531 0.062 0.556
Mg 0.747 0.495 0.238

Summary:
- Magnetization: 0.941 μB per atom
- Crystal system: monoclinic
- Calculated total energy: -5.689 eV per atom

***

Material: Cs3Fe2F9
Method: DFT, GGA+U
State: optimized geometry

Cell lengths 6.438, 6.438, 15.438 Å; angles 90.00, 90.00, 120.00 degrees
Fractional coordinates of all 28 atoms:
Fe 0.000 0.000 0.655
Fe 0.000 0.000 0.345
Fe 0.000 0.000 0.155
Fe 0.000 0.000 0.845
Cs 0.667 0.333 0.435
Cs 0.333 0.667 0.565
Cs 0.333 0.667 0.250
Cs 0.667 0.333 0.750
Cs 0.667 0.333 0.065
Cs 0.333 0.667 0.935
F 0.161 0.862 0.402
F 0.862 0.161 0.902
F 0.700 0.839 0.402
F 0.138 0.300 0.098
F 0.138 0.300 0.402
F 0.136 0.265 0.750
F 0.864 0.129 0.250
F 0.129 0.864 0.750
F 0.161 0.862 0.098
F 0.871 0.735 0.250
F 0.839 0.700 0.598
F 0.300 0.138 0.902
F 0.735 0.871 0.750
F 0.265 0.136 0.250
F 0.300 0.138 0.598
F 0.700 0.839 0.098
F 0.862 0.161 0.598
F 0.839 0.700 0.902

Summary:
- Magnetization: 0.714 μB per atom
- Crystal system: hexagonal
- Calculated total energy: -4.885 eV per atom

***

Material: Li7Fe8B8O24
Method: DFT, GGA+U
State: optimized geometry

Cell lengths 5.259, 9.002, 10.232 Å; angles 90.17, 92.01, 90.05 degrees
Fractional coordinates of all 47 atoms:
Li 0.661 0.997 0.583
Li 0.834 0.507 0.842
Li 0.337 0.990 0.337
Li 0.336 0.010 0.835
Li 0.157 0.503 0.090
Li 0.659 0.009 0.086
Li 0.149 0.490 0.578
O 0.306 0.957 0.134
O 0.094 0.160 0.903
O 0.311 0.040 0.637
O 0.275 0.305 0.657
O 0.776 0.806 0.654
O 0.686 0.039 0.890
O 0.218 0.193 0.328
O 0.908 0.159 0.589
O 0.292 0.691 0.149
O 0.225 0.802 0.836
O 0.592 0.671 0.928
O 0.584 0.323 0.415
O 0.689 0.963 0.385
O 0.188 0.452 0.384
O 0.778 0.207 0.150
O 0.718 0.299 0.837
O 0.703 0.711 0.308
O 0.401 0.342 0.084
O 0.798 0.472 0.117
O 0.805 0.541 0.644
O 0.408 0.662 0.582
O 0.911 0.828 0.089
O 0.189 0.543 0.888
O 0.090 0.831 0.397
Fe 0.662 0.336 0.616
Fe 0.848 0.177 0.365
Fe 0.845 0.836 0.864
Fe 0.162 0.837 0.612
Fe 0.162 0.165 0.116
Fe 0.664 0.670 0.124
Fe 0.339 0.650 0.368
Fe 0.342 0.338 0.866
B 0.331 0.670 0.883
B 0.332 0.325 0.375
B 0.662 0.668 0.625
B 0.171 0.827 0.125
B 0.832 0.838 0.363
B 0.659 0.341 0.118
B 0.162 0.168 0.627
B 0.832 0.166 0.875

Summary:
- Magnetization: 0.702 μB per atom
- Crystal system: triclinic
- Calculated total energy: -6.965 eV per atom

***

Material: Li3Fe2Si2O8
Method: DFT, GGA+U
State: optimized geometry

Cell lengths 5.035, 5.529, 6.227 Å; angles 89.43, 89.79, 89.18 degrees
Fractional coordinates of all 15 atoms:
O 0.100 0.677 0.718
O 0.169 0.165 0.980
O 0.578 0.307 0.220
O 0.601 0.881 0.999
O 0.602 0.309 0.771
O 0.129 0.110 0.520
O 0.119 0.704 0.288
O 0.675 0.851 0.501
Li 0.005 0.335 0.753
Li 0.504 0.663 0.245
Li 0.504 0.670 0.756
Fe 0.498 0.165 0.494
Fe 0.013 0.835 0.006
Si 0.008 0.832 0.504
Si 0.489 0.165 0.996

Summary:
- Maximum piezoelectric response: 1.0 C/m²
- Magnetization: 0.600 μB per atom
- Crystal system: triclinic
- Calculated total energy: -6.699 eV per atom

***

Material: CrAg3ClO4
Method: DFT, GGA+U
State: optimized geometry

Cell lengths 7.476, 7.476, 5.371 Å; angles 90.00, 90.00, 90.00 degrees
Fractional coordinates of all 18 atoms:
Ag 0.750 0.750 0.500
Ag 0.250 0.750 0.500
Ag 0.500 0.000 0.104
Ag 0.250 0.250 0.500
Ag 0.000 0.500 0.896
Ag 0.750 0.250 0.500
O 0.500 0.681 0.186
O 0.319 0.500 0.814
O 0.681 0.500 0.814
O 0.819 0.000 0.186
O 0.000 0.819 0.814
O 0.500 0.319 0.186
O 0.000 0.181 0.814
O 0.181 0.000 0.186
Cl 0.000 0.500 0.372
Cl 0.500 0.000 0.628
Cr 0.000 0.000 0.000
Cr 0.500 0.500 0.000

Summary:
- Magnetization: 0.000 μB per atom
- Crystal system: tetragonal
- Calculated total energy: -4.861 eV per atom

***

Material: Ba2Tl2Zn3Co4O12
Method: DFT, GGA+U
State: optimized geometry

Cell lengths 3.818, 3.818, 21.121 Å; angles 95.19, 95.19, 90.00 degrees
Fractional coordinates of all 23 atoms:
O 0.103 0.603 0.206
O 0.328 0.328 0.655
O 0.603 0.103 0.206
O 0.672 0.672 0.345
O 0.773 0.773 0.546
O 0.397 0.897 0.794
O 0.897 0.397 0.794
O 0.034 0.534 0.067
O 0.466 0.966 0.933
O 0.227 0.227 0.454
O 0.534 0.034 0.067
O 0.966 0.466 0.933
Zn 0.072 0.072 0.143
Zn 0.000 0.000 0.000
Zn 0.928 0.928 0.857
Tl 0.278 0.278 0.556
Tl 0.722 0.722 0.444
Co 0.465 0.465 0.930
Co 0.402 0.402 0.804
Co 0.598 0.598 0.196
Co 0.535 0.535 0.070
Ba 0.847 0.847 0.694
Ba 0.153 0.153 0.306

Summary:
- Magnetization: 0.423 μB per atom
- Crystal system: tetragonal
- Calculated total energy: -5.100 eV per atom

***

Material: Sr2CoBiO6
Method: DFT, GGA+U
State: optimized geometry

Cell lengths 5.714, 5.714, 5.714 Å; angles 60.00, 60.00, 60.00 degrees
Fractional coordinates of all 10 atoms:
Sr 0.250 0.250 0.250
Sr 0.750 0.750 0.750
O 0.260 0.260 0.740
O 0.740 0.260 0.740
O 0.260 0.740 0.260
O 0.740 0.740 0.260
O 0.260 0.740 0.740
O 0.740 0.260 0.260
Bi 0.000 0.000 0.000
Co 0.500 0.500 0.500

Summary:
- Magnetization: 0.000 μB per atom
- Crystal system: cubic
- Calculated total energy: -5.814 eV per atom

***

Material: Sr3MgFe2Cu2Se2O5
Method: DFT, GGA+U
State: optimized geometry

Cell lengths 3.918, 5.095, 12.925 Å; angles 101.37, 98.72, 90.00 degrees
Fractional coordinates of all 15 atoms:
O 0.000 0.000 0.000
O 0.076 0.576 0.151
O 0.421 0.921 0.842
O 0.924 0.424 0.849
O 0.579 0.079 0.158
Cu 0.747 0.247 0.495
Cu 0.253 0.753 0.505
Sr 0.363 0.363 0.726
Sr 0.500 0.500 0.000
Sr 0.637 0.637 0.274
Se 0.195 0.195 0.390
Se 0.805 0.805 0.610
Mg 0.500 0.000 0.000
Fe 0.914 0.914 0.829
Fe 0.086 0.086 0.171

Summary:
- Magnetization: 0.533 μB per atom
- Crystal system: orthorhombic
- Calculated total energy: -5.258 eV per atom

***

Material: Fe3P2O10
Method: DFT, GGA+U
State: optimized geometry

Cell lengths 7.407, 7.389, 7.480 Å; angles 61.04, 90.00, 90.00 degrees
Fractional coordinates of all 30 atoms:
O 0.999 0.308 0.800
O 0.501 0.808 0.800
O 0.266 0.941 0.447
O 0.145 0.003 0.789
O 0.239 0.082 0.069
O 0.761 0.918 0.931
O 0.355 0.503 0.789
O 0.234 0.441 0.447
O 0.739 0.418 0.931
O 0.261 0.582 0.069
O 0.001 0.692 0.200
O 0.987 0.676 0.733
O 0.645 0.497 0.211
O 0.855 0.997 0.211
O 0.013 0.324 0.267
O 0.766 0.559 0.553
O 0.487 0.824 0.267
O 0.734 0.059 0.553
O 0.499 0.192 0.200
O 0.513 0.176 0.733
Fe 0.725 0.722 0.264
Fe 0.775 0.222 0.264
Fe 0.000 0.000 0.000
Fe 0.225 0.778 0.736
Fe 0.500 0.500 0.000
Fe 0.275 0.278 0.736
P 0.627 0.998 0.748
P 0.873 0.498 0.748
P 0.127 0.502 0.252
P 0.373 0.002 0.252

Summary:
- Magnetization: 0.933 μB per atom
- Crystal system: monoclinic
- Calculated total energy: -6.891 eV per atom

***

Material: CsLaW2O8
Method: DFT, GGA+U
State: optimized geometry

Cell lengths 7.843, 7.843, 7.700 Å; angles 63.08, 63.08, 90.08 degrees
Fractional coordinates of all 24 atoms:
O 0.418 0.627 0.529
O 0.627 0.418 0.029
O 0.925 0.618 0.136
O 0.380 0.252 0.936
O 0.215 0.060 0.802
O 0.373 0.582 0.971
O 0.382 0.075 0.364
O 0.940 0.785 0.698
O 0.620 0.748 0.064
O 0.748 0.620 0.564
O 0.582 0.373 0.471
O 0.252 0.380 0.436
O 0.075 0.382 0.864
O 0.785 0.940 0.198
O 0.618 0.925 0.636
O 0.060 0.215 0.302
La 0.225 0.775 0.750
La 0.775 0.225 0.250
Cs 0.802 0.198 0.750
Cs 0.198 0.802 0.250
W 0.315 0.306 0.222
W 0.694 0.685 0.278
W 0.685 0.694 0.778
W 0.306 0.315 0.722

Summary:
- Magnetization: 0.000 μB per atom
- Crystal system: monoclinic
- Calculated total energy: -7.405 eV per atom